(1)
La2GaNiO6: relaxed, PBE+U.

raw total energy	-6.930	eV/atom
DFT formation energy	-2.7596	eV per atom
mass density	6.92	g/cm³
excess energy over the best structure of this formula in the dataset	0	meV/atom

```
La2GaNiO6
1.0
-2.8333 -4.7654 -0.0563
-2.6813 -1.5694 8.8469
-5.6788 0.0052 -0.0986
La Ga O Ni
4 2 12 2
Cartesian
-5.6109 -3.1610 1.0262 La
-2.6959 -1.5659 5.5263 La
-5.5823 -3.1681 7.6666 La
-8.4984 -4.7645 3.1643 La
-8.3950 -4.7471 6.5189 Ga
-2.7984 -1.5827 2.1731 Ga
-3.9458 -0.4828 1.0606 O
-7.2475 -5.8470 7.6315 O
-5.2616 -4.7758 3.3260 O
-1.1109 -1.0360 1.1838 O
-6.7081 -4.2010 5.5304 O
-8.0237 -3.1759 7.7273 O
-3.1686 -3.1549 0.9637 O
-3.8638 -3.6525 5.5051 O
-7.3297 -2.6770 3.1867 O
-5.9335 -1.5529 5.3667 O
-10.0816 -5.2933 7.5076 O
-4.4858 -2.1289 3.1621 O
-5.5980 -3.1650 4.3473 Ni
-11.1917 -6.3295 8.6916 Ni
```

=====

(2)
LiV2P4H2O16: relaxed, PBE+U.

raw total energy	-6.935	eV/atom
DFT formation energy	-2.4031	eV per atom
mass density	2.95	g/cm³
excess energy over the best structure of this formula in the dataset	0	meV/atom

```
LiV2P4H2O16
1.0
4.8978 -7.8920 0.0238
4.8928 7.8880 0.0108
3.0472 -0.0072 7.1569
O V Li H P
32 4 2 4 8
Cartesian
6.0316 2.5813 5.9385 O
2.5453 -0.3800 2.4716 O
6.5818 5.2473 6.2526 O
7.7364 1.3003 4.5638 O
7.5482 -3.5824 3.9799 O
5.9964 -0.3322 0.4768 O
3.8835 3.4834 1.1555 O
8.9287 4.4755 6.0938 O
2.8818 1.3089 4.5343 O
8.9787 -3.5265 6.0518 O
6.0300 -5.2727 5.8140 O
6.9401 5.3581 1.3623 O
5.0339 -1.3515 2.6252 O
11.7339 0.4389 6.7766 O
6.6372 -2.6267 6.1932 O
10.3324 0.4741 4.6666 O
5.3345 3.5663 3.2091 O
10.0043 -1.3176 2.6386 O
3.8772 -4.3789 1.1026 O
9.3343 1.3598 2.2374 O
6.8236 0.3679 6.7874 O
6.2457 2.5937 1.0041 O
8.3520 -1.3844 4.8986 O
5.3835 0.4645 4.7290 O
7.4141 -0.4863 2.4793 O
5.3027 -4.2763 3.1248 O
4.5157 1.3651 2.3728 O
6.2389 -5.2343 0.9575 O
1.1201 -0.4070 0.3763 O
6.7673 -2.6219 1.2633 O
7.5016 4.3801 4.0176 O
3.4047 -1.3080 4.8481 O
8.8965 -0.0359 3.6365 V
3.9420 0.0813 3.6171 V
7.3143 -3.9687 0.0429 V
5.4905 -3.9003 7.0793 V
3.7725 -2.9208 2.5608 Li
7.5106 1.0066 1.0542 Li
6.5919 -3.8849 3.6910 H
6.2917 3.8958 3.5368 H
7.7850 0.0479 7.0833 H
0.1806 -0.0602 0.1150 H
7.8543 -2.7791 5.2580 P
6.3222 6.7268 1.6932 P
5.0232 2.7839 1.9306 P
6.2760 -1.1977 1.6850 P
6.5418 1.1711 5.5108 P
7.7836 5.1651 5.2820 P
6.5209 -6.6881 5.5029 P
4.9904 -5.1311 1.9153 P
```

=====

(3)
Cu3Mo2H2O10: relaxed, PBE+U.

raw total energy	-5.963	eV/atom
DFT formation energy	-1.4350	eV per atom
mass density	4.24	g/cm³
excess energy over the best structure of this formula in the dataset	4	meV/atom

```
Cu3Mo2H2O10
1.0
5.4027 0.0000 0.0000
-0.7254 5.6399 0.0000
-2.1618 -2.0597 7.0003
O H Mo Cu
10 2 2 3
Cartesian
-2.0527 2.6885 6.5941 O
2.4223 2.9968 3.8883 O
0.8470 1.3639 5.8279 O
4.5683 0.8916 0.4062 O
0.7297 -1.4951 5.1180 O
1.6685 2.2162 1.1725 O
0.0932 0.5834 3.1120 O
-1.7510 0.1007 5.3422 O
1.7858 5.0752 1.8823 O
4.2666 3.4794 1.6582 O
-1.2372 2.8751 6.0739 H
3.7528 0.7051 0.9264 H
0.0007 0.1493 4.8435 Mo
2.5149 3.4308 2.1568 Mo
1.7588 3.4913 5.6500 Cu
-0.3627 2.8199 0.0000 Cu
0.7567 0.0889 1.3503 Cu
```

=====

(4)
MgV3CoSn2P6O24: relaxed, PBE+U.

raw total energy	-7.182	eV/atom
DFT formation energy	-2.5341	eV per atom
mass density	3.53	g/cm³
excess energy over the best structure of this formula in the dataset	1	meV/atom

```
MgV3CoSn2P6O24
1.0
-8.3173 -2.8249 2.7121
-5.7179 -1.5888 -6.0594
-1.9542 -7.9925 -1.9353
O P Sn V Mg Co
24 6 2 3 1 1
Cartesian
-5.3505 -6.3120 -3.0159 O
-4.0705 -6.5643 -0.9479 O
-2.1730 -2.4419 -1.0817 O
-6.6990 -7.7326 -4.7947 O
-10.5717 -6.2870 -2.3104 O
-3.9619 -2.0736 -3.3559 O
-5.6489 -4.5077 -1.2662 O
-10.4303 -7.9076 -4.1778 O
-8.0013 -9.6086 -0.0615 O
-3.3908 -4.7810 -2.5033 O
-12.4753 -7.8750 -2.6480 O
-6.7973 -9.3765 -2.9832 O
-12.2929 -10.6091 -1.9238 O
-6.8705 -4.9897 -4.9694 O
-9.3682 -5.0587 -5.2614 O
-13.9490 -9.4843 -4.2758 O
-8.9414 -7.2887 -0.5336 O
-10.8968 -10.6973 -4.1112 O
-9.1748 -4.7065 -0.7370 O
-6.5036 -7.5652 -0.1068 O
-7.8122 -2.7347 0.1246 O
-12.1109 -5.9891 -4.2980 O
-8.1643 -2.8044 -5.1115 O
-8.3735 -9.6377 -5.0189 O
-4.6226 -5.4611 -1.8756 P
-11.3892 -7.0390 -3.4021 P
-7.8805 -8.0841 0.3052 P
-6.9994 -9.2714 -4.5290 P
-8.0972 -4.2909 -5.6103 P
-9.0560 -3.1343 -0.7274 P
-7.7790 -2.8139 2.3715 Sn
-8.2957 -6.0486 -2.3341 Sn
-10.3021 -9.3818 -5.5213 V
-10.6901 -6.0431 -0.2485 V
-5.4845 -6.3303 -5.0792 V
-4.9485 -8.3482 -2.7683 Mg
-5.5413 -3.0662 0.1393 Co
```

=====

(5)
Na4Mn3P4O15: relaxed, PBE+U.

raw total energy	-6.948	eV/atom
DFT formation energy	-2.5883	eV per atom
mass density	3.07	g/cm³

```
Na4Mn3P4O15
1.0
-4.3630 5.1098 -0.0151
-1.1549 -0.9542 10.7925
13.8307 11.8168 2.5247
P O Mn Na
16 60 12 16
Cartesian
-2.1166 6.3161 5.9889 P
2.5976 5.9089 0.9571 P
11.8754 10.5666 10.5419 P
-2.3178 6.0683 11.2250 P
9.1225 15.3513 4.8612 P
4.2542 11.7746 12.3400 P
4.9783 4.6733 9.1097 P
8.9684 11.3673 7.3082 P
2.1605 9.4044 4.0351 P
9.2599 11.5093 2.0725 P
5.1616 12.4427 7.2167 P
5.2424 7.6337 9.2640 P
-1.7196 1.6867 8.4378 P
1.7806 5.1349 6.0807 P
-1.7719 3.3085 2.7665 P
5.1253 9.2019 4.1986 P
8.1064 12.0887 12.7638 O
-0.5487 2.5360 8.9540 O
8.9284 15.6373 6.3594 O
0.9832 4.3907 10.3560 O
3.5921 8.6298 4.3716 O
8.2370 10.5788 8.4549 O
10.6070 14.6204 4.7037 O
1.7322 6.6274 6.4444 O
5.0408 12.7004 11.3316 O
3.2550 4.7169 5.8578 O
8.2518 7.8870 1.6176 O
1.0734 8.3244 4.1391 O
8.2109 10.9258 3.0872 O
8.9014 12.8770 7.6285 O
5.1124 10.7205 4.3143 O
-1.5611 2.5611 4.0949 O
-1.2308 0.1066 8.6022 O
10.6621 11.0316 2.5240 O
-2.0644 4.6071 10.7792 O
-0.5156 7.4025 1.8164 O
3.4807 4.9236 8.9889 O
3.9969 5.4118 1.3939 O
-0.7830 2.8175 1.6956 O
-1.2199 6.9110 4.8428 O
4.6811 7.6059 10.6951 O
9.1887 16.5983 3.9834 O
8.1744 10.9427 6.0113 O
7.8392 14.6265 11.6022 O
10.4372 10.9277 7.0955 O
8.2214 15.3466 9.2015 O
2.2801 9.9494 2.6024 O
0.7669 1.5079 5.6783 O
-1.9672 1.9180 6.9380 O
4.5271 10.3132 11.9090 O
5.7840 6.0972 8.9343 O
8.1018 14.3262 4.3455 O
5.6578 13.1794 8.5134 O
1.0390 4.3281 7.2112 O
6.0779 13.0449 6.0868 O
1.5570 5.2804 1.9646 O
-2.9641 1.8198 9.3115 O
5.8762 8.5143 5.3515 O
10.3815 10.8199 10.3872 O
7.6324 9.9706 11.4816 O
1.1800 8.9298 7.9463 O
1.6850 2.1520 0.5435 O
6.0340 13.0990 2.9417 O
6.4796 8.5377 9.1604 O
1.4164 6.4979 11.6892 O
2.0177 10.4787 5.1099 O
8.0592 7.6133 6.8629 O
-1.7884 4.8241 2.9160 O
5.6241 8.6925 2.8350 O
1.0362 9.2152 10.4614 O
-1.5741 7.0095 10.2092 O
-1.9132 4.7973 6.2074 O
0.9790 4.7558 4.7829 O
5.3427 10.9218 7.4453 O
4.2069 7.9394 8.1850 O
-1.5766 7.0382 7.2850 O
0.9869 8.8829 1.0133 Mn
8.9052 9.1940 9.9608 Mn
5.9325 8.7213 12.2841 Mn
0.0476 6.0290 3.3436 Mn
7.6653 14.4871 2.1621 Mn
6.8343 9.3746 7.1214 Mn
7.3505 14.3354 7.4319 Mn
1.9782 3.2760 8.8070 Mn
-0.6457 2.9997 11.1356 Mn
-0.4310 3.2688 5.8654 Mn
0.1854 8.1122 6.1763 Mn
6.9745 11.9469 4.4973 Mn
-4.2018 3.7138 10.4056 Na
-3.5104 3.1301 5.6233 Na
2.2015 6.9151 8.8519 Na
2.8741 8.5999 11.8464 Na
3.1916 10.0171 7.2010 Na
12.3324 12.2460 7.6807 Na
0.8447 1.3208 2.7118 Na
4.4849 6.7005 6.0989 Na
6.0409 11.0089 9.8388 Na
9.9885 9.9466 4.6671 Na
5.9479 6.7762 1.4575 Na
7.7085 7.1866 4.4558 Na
3.0666 4.0328 3.4661 Na
-0.8810 5.0950 8.6379 Na
9.0653 12.7810 10.5959 Na
11.8782 13.0039 2.8944 Na
```

=====

(6)
CaEuDyNiO6: relaxed, PBE+U.

raw total energy	-7.066	eV/atom
DFT formation energy	-2.4981	eV per atom
mass density	6.64	g/cm³

```
CaEuDyNiO6
1.0
0.0000 -3.9927 -3.9927
3.9927 0.0000 -3.9927
3.9927 -3.9927 0.0000
Dy Ni O Eu Ca
1 1 6 1 1
Cartesian
0.0000 0.0000 0.0000 Dy
3.9927 -3.9927 -3.9927 Ni
2.1520 -3.9927 -3.9927 O
5.8335 -3.9927 -3.9927 O
3.9927 -3.9927 -2.1520 O
3.9927 -5.8335 -3.9927 O
3.9927 -2.1520 -3.9927 O
3.9927 -3.9927 -5.8335 O
5.9891 -5.9891 -5.9891 Eu
1.9964 -1.9964 -1.9964 Ca
```

=====

(7)
Mg6MnCuO8: relaxed, PBE+U.

raw total energy	-6.079	eV/atom
DFT formation energy	-2.6239	eV per atom
mass density	4.13	g/cm³
excess energy over the best structure of this formula in the dataset	10	meV/atom

```
Mg6MnCuO8
1.0
-0.8226 8.4825 1.6626
0.5152 -0.7652 4.1587
4.2092 0.4926 -0.4308
O Mg Mn Cu
8 6 1 1
Cartesian
2.1510 2.0419 2.2909 O
2.1046 0.2463 -0.2154 O
0.2576 -0.3826 2.0794 O
1.6933 4.4876 0.6159 O
1.7509 6.1680 3.0997 O
-0.1537 3.8587 2.9107 O
-0.6127 6.3189 1.2385 O
-0.2098 2.1637 0.4241 O
1.8971 2.3862 0.2040 Mg
1.9509 4.1050 2.6953 Mg
-0.3575 5.9600 3.3226 Mg
1.4896 6.5889 1.0278 Mg
-0.4113 4.2413 0.8313 Mg
0.0501 1.7573 2.4988 Mg
0.0000 0.0000 0.0000 Mn
2.3622 -0.1363 1.8640 Cu
```

=====

(8)
MgMnSiO5: relaxed, PBE+U.

raw total energy	-7.100	eV/atom
DFT formation energy	-2.6215	eV per atom
mass density	3.71	g/cm³

```
MgMnSiO5
1.0
3.2058 -0.0107 -4.1619
2.8974 -6.2976 -0.0127
-6.7052 -6.2886 -4.1608
O Mn Si Mg
20 4 4 4
Cartesian
4.1005 -7.0453 -3.8416 O
-4.0660 -10.2020 -4.5213 O
-1.8685 -8.8927 -5.8140 O
2.6745 -6.7820 -1.6750 O
-0.1191 -5.7285 -2.5076 O
0.9312 -9.9233 -6.6993 O
3.4287 -2.3171 -3.8261 O
1.2321 -3.6252 -2.5313 O
-2.6483 -4.6777 -2.8239 O
2.0098 -7.8396 -5.5223 O
3.7561 -4.6878 -2.8306 O
-4.7427 -5.4806 -4.4952 O
-4.3942 -7.8300 -5.5153 O
-0.0781 -8.6046 -3.8320 O
-0.5240 -6.7831 -5.8308 O
-1.5676 -2.5940 -1.6468 O
-2.3035 -7.0349 -3.8353 O
-3.3174 -5.7292 -6.6618 O
1.6617 -5.4898 -4.5028 O
-0.5592 -3.9138 -4.5156 O
4.4815 -6.2642 -2.0959 Mn
3.0335 -3.1141 -2.0920 Mn
-1.9231 -6.2541 -2.0896 Mn
-0.4731 -9.4013 -2.0982 Mn
2.3106 -1.5429 -4.7529 Si
0.5548 -4.6869 -3.5839 Si
-2.9522 -10.9748 -3.5894 Si
-1.1961 -7.8304 -4.7590 Si
-4.4024 -7.8021 -3.5047 Mg
-2.6383 -4.6863 -4.8348 Mg
3.7661 -4.6971 -4.8419 Mg
2.0018 -7.8115 -3.5113 Mg
```

=====

(9)
Li9Co7O16: relaxed, PBE+U.

raw total energy	-5.575	eV/atom
DFT formation energy	-1.7106	eV per atom
mass density	4.37	g/cm³
excess energy over the best structure of this formula in the dataset	45	meV/atom

```
Li9Co7O16
1.0
4.9985 0.0000 0.0000
-0.0477 5.7782 0.0000
-1.6519 -2.8243 9.6069
Co O Li
7 16 9
Cartesian
4.1462 0.0266 4.7875 Co
4.9356 4.3642 0.0044 Co
1.6494 1.4770 4.8034 Co
2.4754 2.8891 0.0000 Co
1.6733 -1.4121 4.8034 Co
-1.6369 -1.4103 9.6025 Co
-0.8474 2.9273 4.8194 Co
4.3167 -0.0096 1.0650 O
0.8589 0.1258 5.8950 O
1.7131 1.4022 8.5729 O
3.2660 1.4744 5.9187 O
0.0328 1.4795 3.6882 O
-0.0307 4.3588 3.6490 O
2.4399 2.8281 3.7119 O
-0.8105 0.0529 8.5702 O
1.6941 -1.2668 8.6060 O
2.4913 -0.0438 3.6039 O
1.5857 1.5517 1.0340 O
4.1093 2.9010 1.0367 O
1.6047 4.2208 1.0009 O
0.8075 2.9977 6.0030 O
-1.0180 2.9636 8.5419 O
3.3294 -1.4049 5.9579 O
0.0163 -1.4172 7.2101 Li
0.8186 2.9103 2.4119 Li
3.2825 4.3711 2.3968 Li
0.8542 0.0128 2.3982 Li
2.4992 0.0000 0.0000 Li
2.4802 0.0436 7.1950 Li
0.0010 1.5172 7.1966 Li
3.2978 1.4367 2.4103 Li
2.4446 2.9411 7.2087 Li
```